Run i
Computed, not measured: a relaxed AlSbW2O8 crystal at the GGA+U level of DFT.

a = 5.198 Å, b = 5.628 Å, c = 10.673 Å
α = 90.00°, β = 119.06°, γ = 90.00°
Sites, in units of the cell vectors:
Al: 0.000 0.166 0.250
Al: 0.000 0.834 0.750
Sb: 0.500 0.138 0.750
Sb: 0.500 0.862 0.250
W: 0.242 0.342 0.998
W: 0.242 0.658 0.498
W: 0.758 0.342 0.502
W: 0.758 0.658 0.002
O: 0.028 0.384 0.122
O: 0.028 0.616 0.622
O: 0.057 0.100 0.640
O: 0.057 0.900 0.140
O: 0.428 0.121 0.360
O: 0.428 0.879 0.860
O: 0.475 0.379 0.882
O: 0.475 0.621 0.382
O: 0.525 0.379 0.618
O: 0.525 0.621 0.118
O: 0.572 0.121 0.140
O: 0.572 0.879 0.640
O: 0.943 0.100 0.860
O: 0.943 0.900 0.360
O: 0.972 0.384 0.378
O: 0.972 0.616 0.878

Output
* magnetization: 0.0 μB/f.u.

***

Run ii
Computed, not measured: a relaxed AlSbW2O8 crystal at the GGA+U level of DFT.

a = 5.080 Å, b = 5.390 Å, c = 6.191 Å
α = 113.20°, β = 105.99°, γ = 97.89°
Sites, in units of the cell vectors:
Al: 0.000 0.000 0.000
Sb: 0.424 0.469 0.904
W: 0.257 0.782 0.481
W: 0.692 0.370 0.424
O: 0.110 0.515 0.639
O: 0.170 0.057 0.787
O: 0.198 0.842 0.174
O: 0.286 0.389 0.254
O: 0.548 0.173 0.617
O: 0.655 0.721 0.712
O: 0.748 0.097 0.160
O: 0.835 0.652 0.322

Output
* magnetization: 2.0 μB/f.u.

***

Which structure wins on stability? run ii wins.

***

Run i
Computed, not measured: a relaxed LiFeP4O12 crystal at the GGA+U level of DFT.

a = 7.429 Å, b = 7.429 Å, c = 18.117 Å
α = 90.00°, β = 90.00°, γ = 101.72°
Sites, in units of the cell vectors:
Li: 0.101 0.206 0.360
Li: 0.206 0.101 0.640
Li: 0.794 0.899 0.140
Li: 0.899 0.794 0.860
Fe: 0.046 0.437 0.621
Fe: 0.437 0.046 0.379
Fe: 0.563 0.954 0.879
Fe: 0.954 0.563 0.121
P: 0.045 0.769 0.348
P: 0.227 0.713 0.489
P: 0.231 0.955 0.152
P: 0.235 0.333 0.192
P: 0.287 0.773 0.011
P: 0.333 0.235 0.808
P: 0.366 0.366 0.500
P: 0.381 0.619 0.750
P: 0.619 0.381 0.250
P: 0.634 0.634 0.000
P: 0.667 0.765 0.308
P: 0.713 0.227 0.511
P: 0.765 0.667 0.692
P: 0.769 0.045 0.652
P: 0.773 0.287 0.989
P: 0.955 0.231 0.848
O: 0.037 0.834 0.146
O: 0.050 0.649 0.285
O: 0.083 0.660 0.424
O: 0.095 0.665 0.019
O: 0.127 0.665 0.561
O: 0.158 0.284 0.266
O: 0.161 0.197 0.865
O: 0.166 0.963 0.354
O: 0.178 0.489 0.150
O: 0.197 0.161 0.135
O: 0.212 0.579 0.702
O: 0.254 0.315 0.570
O: 0.284 0.158 0.734
O: 0.315 0.254 0.430
O: 0.335 0.873 0.939
O: 0.335 0.905 0.481
O: 0.340 0.917 0.076
O: 0.351 0.950 0.215
O: 0.369 0.574 0.479
O: 0.389 0.456 0.808
O: 0.421 0.788 0.798
O: 0.426 0.631 0.021
O: 0.456 0.389 0.192
O: 0.489 0.178 0.850
O: 0.511 0.822 0.350
O: 0.544 0.611 0.692
O: 0.574 0.369 0.521
O: 0.579 0.212 0.298
O: 0.611 0.544 0.308
O: 0.631 0.426 0.979
O: 0.649 0.050 0.715
O: 0.660 0.083 0.576
O: 0.665 0.095 0.981
O: 0.665 0.127 0.439
O: 0.685 0.746 0.930
O: 0.716 0.842 0.234
O: 0.746 0.685 0.070
O: 0.788 0.421 0.202
O: 0.803 0.839 0.635
O: 0.822 0.511 0.650
O: 0.834 0.037 0.854
O: 0.839 0.803 0.365
O: 0.842 0.716 0.766
O: 0.873 0.335 0.061
O: 0.905 0.335 0.519
O: 0.917 0.340 0.924
O: 0.950 0.351 0.785
O: 0.963 0.166 0.646

Output
* magnetization: 5.0 μB/f.u.

***

Run ii
Computed, not measured: a relaxed LiFeP4O12 crystal at the GGA+U level of DFT.

a = 7.010 Å, b = 7.010 Å, c = 9.617 Å
α = 91.17°, β = 91.17°, γ = 109.49°
Sites, in units of the cell vectors:
Li: 0.166 0.834 0.750
Li: 0.834 0.166 0.250
Fe: 0.115 0.885 0.250
Fe: 0.885 0.115 0.750
P: 0.201 0.279 0.028
P: 0.270 0.623 0.467
P: 0.279 0.201 0.528
P: 0.377 0.730 0.033
P: 0.623 0.270 0.967
P: 0.721 0.799 0.472
P: 0.730 0.377 0.533
P: 0.799 0.721 0.972
O: 0.064 0.281 0.906
O: 0.106 0.147 0.149
O: 0.131 0.648 0.351
O: 0.147 0.106 0.649
O: 0.213 0.380 0.468
O: 0.270 0.715 0.606
O: 0.281 0.064 0.406
O: 0.285 0.730 0.894
O: 0.309 0.502 0.093
O: 0.352 0.869 0.149
O: 0.380 0.213 0.968
O: 0.498 0.691 0.407
O: 0.502 0.309 0.593
O: 0.620 0.787 0.032
O: 0.648 0.131 0.851
O: 0.691 0.498 0.907
O: 0.715 0.270 0.106
O: 0.719 0.936 0.594
O: 0.730 0.285 0.394
O: 0.787 0.620 0.532
O: 0.853 0.894 0.351
O: 0.869 0.352 0.649
O: 0.894 0.853 0.851
O: 0.936 0.719 0.094

Output
* magnetization: 5.0 μB/f.u.

***

Which structure wins on stability? run ii wins.

***

Run i
Computed, not measured: a relaxed Li4Cr3FeO8 crystal at the GGA+U level of DFT.

a = 5.146 Å, b = 5.954 Å, c = 10.729 Å
α = 97.96°, β = 103.82°, γ = 106.82°
Sites, in units of the cell vectors:
Li: 0.000 0.000 0.000
Li: 0.000 0.500 0.000
Li: 0.249 0.374 0.250
Li: 0.250 0.875 0.250
Li: 0.500 0.250 0.500
Li: 0.500 0.750 0.500
Li: 0.750 0.125 0.750
Li: 0.751 0.626 0.750
Cr: 0.125 0.437 0.625
Cr: 0.125 0.938 0.625
Cr: 0.375 0.813 0.875
Cr: 0.625 0.187 0.125
Cr: 0.875 0.062 0.375
Cr: 0.875 0.563 0.375
Fe: 0.375 0.313 0.875
Fe: 0.625 0.687 0.125
O: 0.083 0.971 0.810
O: 0.084 0.475 0.810
O: 0.163 0.401 0.439
O: 0.163 0.900 0.439
O: 0.332 0.347 0.062
O: 0.333 0.850 0.060
O: 0.414 0.776 0.690
O: 0.416 0.276 0.688
O: 0.584 0.724 0.312
O: 0.586 0.224 0.310
O: 0.667 0.150 0.940
O: 0.668 0.653 0.938
O: 0.837 0.100 0.561
O: 0.837 0.599 0.561
O: 0.916 0.525 0.190
O: 0.917 0.029 0.190

Output
* magnetization: 14.0 μB/f.u.

***

Run ii
Computed, not measured: a relaxed Li4Cr3FeO8 crystal at the GGA+U level of DFT.

a = 5.114 Å, b = 5.881 Å, c = 10.560 Å
α = 106.08°, β = 94.67°, γ = 106.51°
Sites, in units of the cell vectors:
Li: 0.000 0.000 0.000
Li: 0.000 0.125 0.752
Li: 0.000 0.250 0.501
Li: 0.000 0.499 0.001
Li: 0.000 0.627 0.753
Li: 0.001 0.750 0.501
Li: 0.999 0.374 0.250
Li: 0.999 0.874 0.250
Cr: 0.500 0.311 0.377
Cr: 0.500 0.436 0.126
Cr: 0.500 0.562 0.875
Cr: 0.500 0.686 0.626
Cr: 0.500 0.815 0.377
Cr: 0.500 0.938 0.125
Fe: 0.500 0.066 0.870
Fe: 0.500 0.186 0.629
O: 0.267 0.908 0.682
O: 0.270 0.293 0.941
O: 0.271 0.780 0.943
O: 0.277 0.164 0.191
O: 0.277 0.539 0.440
O: 0.279 0.042 0.443
O: 0.279 0.665 0.191
O: 0.281 0.411 0.689
O: 0.720 0.456 0.562
O: 0.720 0.964 0.563
O: 0.722 0.710 0.061
O: 0.723 0.586 0.312
O: 0.724 0.085 0.312
O: 0.730 0.215 0.067
O: 0.730 0.832 0.809
O: 0.734 0.346 0.807

Output
* magnetization: 14.0 μB/f.u.

***

Run iii
Computed, not measured: a relaxed Li4Cr3FeO8 crystal at the GGA+U level of DFT.

a = 5.125 Å, b = 5.883 Å, c = 10.605 Å
α = 73.91°, β = 76.19°, γ = 73.31°
Sites, in units of the cell vectors:
Li: 0.000 0.189 0.374
Li: 0.000 0.811 0.626
Li: 0.001 0.439 0.874
Li: 0.002 0.936 0.875
Li: 0.003 0.686 0.374
Li: 0.997 0.314 0.626
Li: 0.998 0.064 0.125
Li: 0.999 0.561 0.126
Cr: 0.500 0.000 0.500
Cr: 0.500 0.125 0.750
Cr: 0.500 0.252 0.000
Cr: 0.500 0.500 0.500
Cr: 0.500 0.748 0.000
Cr: 0.500 0.875 0.250
Fe: 0.500 0.375 0.250
Fe: 0.500 0.625 0.750
O: 0.273 0.089 0.936
O: 0.273 0.839 0.435
O: 0.275 0.340 0.433
O: 0.275 0.590 0.933
O: 0.275 0.709 0.187
O: 0.276 0.216 0.186
O: 0.276 0.466 0.686
O: 0.276 0.960 0.687
O: 0.724 0.040 0.313
O: 0.724 0.534 0.314
O: 0.724 0.784 0.814
O: 0.725 0.291 0.813
O: 0.725 0.410 0.067
O: 0.725 0.660 0.567
O: 0.727 0.161 0.565
O: 0.727 0.911 0.064

Output
* magnetization: 14.0 μB/f.u.

***

Which structure wins on stability? run i wins.

***

Run i
Computed, not measured: a relaxed LiMnP3O9 crystal at the GGA+U level of DFT.

a = 6.191 Å, b = 9.990 Å, c = 11.720 Å
α = 90.01°, β = 100.15°, γ = 89.99°
Sites, in units of the cell vectors:
O: 0.110 0.284 0.040
O: 0.273 0.046 0.137
O: 0.027 0.350 0.824
O: 0.027 0.649 0.826
Mn: 0.249 0.500 0.250
O: 0.518 0.898 0.267
O: 0.716 0.840 0.466
O: 0.702 0.001 0.850
P: 0.894 0.282 0.096
P: 0.644 0.782 0.346
O: 0.202 0.001 0.350
O: 0.660 0.817 0.693
O: 0.268 0.398 0.517
P: 0.026 0.456 0.491
O: 0.966 0.340 0.216
Li: 0.004 0.000 0.000
Mn: 0.748 0.500 0.750
P: 0.394 0.282 0.596
Li: 0.253 0.500 0.750
O: 0.193 0.114 0.897
Li: 0.754 0.500 0.250
P: 0.667 0.263 0.413
P: 0.416 0.763 0.663
P: 0.167 0.263 0.913
O: 0.768 0.398 0.017
P: 0.144 0.782 0.846
O: 0.527 0.350 0.324
Li: 0.503 0.000 0.500
Mn: 0.498 0.000 0.000
O: 0.777 0.850 0.074
O: 0.023 0.546 0.387
O: 0.160 0.817 0.193
Mn: 0.998 0.000 0.500
P: 0.526 0.456 0.991
O: 0.216 0.840 0.966
O: 0.277 0.149 0.576
O: 0.952 0.501 0.600
P: 0.276 0.955 0.241
O: 0.360 0.784 0.790
O: 0.466 0.340 0.716
O: 0.018 0.898 0.767
O: 0.910 0.317 0.443
O: 0.411 0.317 0.943
O: 0.773 0.046 0.637
P: 0.916 0.763 0.163
O: 0.860 0.784 0.290
O: 0.443 0.614 0.647
O: 0.610 0.284 0.540
O: 0.693 0.114 0.397
O: 0.452 0.501 0.100
O: 0.777 0.149 0.076
O: 0.527 0.649 0.326
O: 0.943 0.614 0.147
O: 0.523 0.546 0.887
O: 0.277 0.850 0.574
P: 0.776 0.956 0.741

Output
* piezoelectric modulus e_max: 1.71 C/m2
* magnetization: 0.0 μB/f.u.

***

Run ii
Computed, not measured: a relaxed LiMnP3O9 crystal at the GGA+U level of DFT.

a = 6.726 Å, b = 6.887 Å, c = 7.443 Å
α = 78.84°, β = 86.93°, γ = 89.11°
Sites, in units of the cell vectors:
Li: 0.155 0.061 0.181
Li: 0.845 0.939 0.819
Mn: 0.165 0.580 0.146
Mn: 0.835 0.420 0.854
P: 0.140 0.722 0.557
P: 0.326 0.381 0.779
P: 0.351 0.940 0.801
P: 0.649 0.060 0.199
P: 0.674 0.619 0.221
P: 0.860 0.278 0.443
O: 0.046 0.291 0.318
O: 0.122 0.780 0.353
O: 0.163 0.395 0.927
O: 0.188 0.873 0.948
O: 0.254 0.511 0.588
O: 0.300 0.866 0.614
O: 0.317 0.172 0.720
O: 0.437 0.104 0.162
O: 0.469 0.561 0.190
O: 0.531 0.439 0.810
O: 0.563 0.896 0.838
O: 0.683 0.828 0.280
O: 0.700 0.134 0.386
O: 0.746 0.489 0.412
O: 0.812 0.127 0.052
O: 0.837 0.605 0.073
O: 0.878 0.220 0.647
O: 0.954 0.709 0.682

Output
* magnetization: 0.0 μB/f.u.

***

Which structure wins on stability? run ii wins.